# Mn2CoSb

A relaxed structure of Mn2CoSb (PBE, Materials Project).

E   -7.351 eV per atom

Cell lengths 5.9913, 5.9913, 5.9913 Å; angles 90.00, 90.00, 90.00 degrees
Space group F-43m (No. 216)
Inequivalent atoms, fractional coordinates:
1 Mn 0.0000 0.0000 0.0000 x4
2 Mn 0.2500 0.2500 0.2500 x4
3 Co 0.2500 0.2500 0.7500 x4
4 Sb 0.0000 0.0000 0.5000 x4